Eu3VGeO9 GGA+U optimized geometry; E_form = -2.824 eV per atom; space group = P2_1/c, No. 14; calculated density = 6.1 g/cm³
1.0
7.048 0.000 0.000
0.000 12.570 0.000
-4.205 0.000 8.964
Eu V Ge O
12 4 4 36
direct
0.047 0.132 0.373 Eu
0.047 0.368 0.873 Eu
0.371 0.609 0.877 Eu
0.371 0.891 0.377 Eu
0.389 0.134 0.151 Eu
0.389 0.366 0.651 Eu
0.611 0.634 0.349 Eu
0.611 0.866 0.849 Eu
0.629 0.109 0.623 Eu
0.629 0.391 0.123 Eu
0.953 0.632 0.127 Eu
0.953 0.868 0.627 Eu
0.219 0.664 0.522 V
0.219 0.836 0.022 V
0.781 0.164 0.978 V
0.781 0.336 0.478 V
0.193 0.102 0.737 Ge
0.193 0.398 0.237 Ge
0.807 0.602 0.763 Ge
0.807 0.898 0.263 Ge
0.028 0.160 0.127 O
0.028 0.340 0.627 O
0.067 0.575 0.909 O
0.067 0.925 0.409 O
0.176 0.175 0.882 O
0.176 0.325 0.382 O
0.242 0.746 0.162 O
0.242 0.754 0.662 O
0.284 0.531 0.276 O
0.284 0.969 0.776 O
0.289 0.546 0.623 O
0.289 0.954 0.123 O
0.314 0.169 0.634 O
0.314 0.331 0.134 O
0.380 0.077 0.383 O
0.380 0.423 0.883 O
0.398 0.712 0.459 O
0.398 0.788 0.959 O
0.602 0.212 0.041 O
0.602 0.288 0.541 O
0.620 0.577 0.117 O
0.620 0.923 0.617 O
0.686 0.669 0.866 O
0.686 0.831 0.366 O
0.711 0.046 0.877 O
0.711 0.454 0.377 O
0.716 0.031 0.224 O
0.716 0.469 0.724 O
0.758 0.246 0.338 O
0.758 0.254 0.838 O
0.824 0.675 0.618 O
0.824 0.825 0.118 O
0.933 0.075 0.591 O
0.933 0.425 0.091 O
0.972 0.660 0.373 O
0.972 0.840 0.873 O